Computed, not measured: crystalline BaZnCO3F2 at its relaxed geometry at the PBE level of DFT.

Unit cell a=4.9202 b=4.9202 c=10.1336 alpha=90.00 beta=90.00 gamma=120.00
With the nearest neighbours (Å) after each atom.
Element x y z (fractional)
1 Ba 0.0000 0.0000 0.0000  6 F 2.88, 6 O 3.04
2 Ba 0.0000 0.0000 0.5000  6 F 2.88, 6 O 3.04
3 Zn 0.3333 0.6667 0.2500  3 O 2.04, 2 F 2.05
4 Zn 0.6667 0.3333 0.7500  3 O 2.04, 2 F 2.05
5 C 0.3333 0.6667 0.7500  3 O 1.30
6 C 0.6667 0.3333 0.2500  3 O 1.30
7 O 0.1031 0.3793 0.7500  1 C 1.30
8 O 0.2762 0.8969 0.7500  1 C 1.30
9 O 0.3793 0.2762 0.2500  1 C 1.30
10 O 0.6207 0.7238 0.7500  1 C 1.30
11 O 0.7238 0.1031 0.2500  1 C 1.30
12 O 0.8969 0.6207 0.2500  1 C 1.30
13 F 0.3333 0.6667 0.0479  1 Zn 2.05
14 F 0.3333 0.6667 0.4521  1 Zn 2.05
15 F 0.6667 0.3333 0.5479  1 Zn 2.05
16 F 0.6667 0.3333 0.9521  1 Zn 2.05

Properties
* theoretical density: 4.7 g cm⁻³
* energy: -6.221 eV/atom
* calculated volume: 212 Å³/cell

Computed, not measured: crystalline MoSe at its relaxed geometry at the PBE level of DFT.

Unit cell a=3.2739 b=3.2739 c=3.6161 alpha=90.00 beta=90.00 gamma=120.00
With the nearest neighbours (Å) after each atom.
Element x y z (fractional)
1 Mo 0.0000 0.0000 0.0000  6 Se 2.62
2 Se 0.6667 0.3333 0.5000  6 Mo 2.62

Properties
* theoretical density: 8.7 g cm⁻³
* energy: -7.056 eV/atom
* calculated volume: 34 Å³/cell

Computed, not measured: crystalline TiTl2O3 at its relaxed geometry at the PBE level of DFT.

Unit cell a=12.7913 b=3.8694 c=9.8923 alpha=90.00 beta=90.00 gamma=90.00
With the nearest neighbours (Å) after each atom.
Element x y z (fractional)
1 Ti 0.0957 0.2500 0.0298  4 O 1.81-2.00
2 Ti 0.4043 0.7500 0.5298  4 O 1.81-2.00
3 Ti 0.5957 0.2500 0.4702  4 O 1.81-2.00
4 Ti 0.9043 0.7500 0.9702  4 O 1.81-2.00
5 Tl 0.1041 0.7500 0.3563  3 O 2.55-2.60
6 Tl 0.1552 0.7500 0.7346  3 O 2.50-2.59
7 Tl 0.3448 0.2500 0.2346  3 O 2.50-2.59
8 Tl 0.3959 0.2500 0.8563  3 O 2.55-2.60
9 Tl 0.6041 0.7500 0.1437  3 O 2.55-2.60
10 Tl 0.6552 0.7500 0.7654  3 O 2.50-2.59
11 Tl 0.8448 0.2500 0.2654  3 O 2.50-2.59
12 Tl 0.8959 0.2500 0.6437  3 O 2.55-2.60
13 O 0.0574 0.7500 0.0246  3 Ti 2.00-2.03
14 O 0.1515 0.2500 0.1999  1 Ti 1.83
15 O 0.1959 0.2500 0.9011  1 Ti 1.81
16 O 0.3041 0.7500 0.4011  1 Ti 1.81
17 O 0.3485 0.7500 0.6999  1 Ti 1.83
18 O 0.4426 0.2500 0.5246  3 Ti 2.00-2.03
19 O 0.5574 0.7500 0.4754  3 Ti 2.00-2.03
20 O 0.6515 0.2500 0.3001  1 Ti 1.83
21 O 0.6959 0.2500 0.5989  1 Ti 1.81
22 O 0.8041 0.7500 0.0989  1 Ti 1.81
23 O 0.8485 0.7500 0.8001  1 Ti 1.83
24 O 0.9426 0.2500 0.9754  3 Ti 2.00-2.03

Properties
* theoretical density: 6.8 g cm⁻³
* energy: -6.491 eV/atom
* calculated volume: 490 Å³/cell

Computed, not measured: crystalline K2ZnCu3P3O12F at its relaxed geometry at the PBE level of DFT.

Unit cell a=4.9734 b=14.6055 c=8.0460 alpha=90.00 beta=90.73 gamma=90.00
With the nearest neighbours (Å) after each atom.
Element x y z (fractional)
1 K 0.0000 0.0000 0.0000  4 O 2.82-3.13
2 K 0.0000 0.5000 0.0000  4 O 2.82-3.13
3 K 0.0480 0.2500 0.3623  2 F 2.75-2.78, 7 O 2.81-2.97
4 K 0.9520 0.7500 0.6377  2 F 2.75-2.78, 7 O 2.81-2.97
5 Zn 0.4731 0.7500 0.9536  4 O 1.95-1.98
6 Zn 0.5269 0.2500 0.0464  4 O 1.95-1.98
7 Cu 0.0000 0.0000 0.5000  4 O 1.95-2.04
8 Cu 0.0000 0.5000 0.5000  4 O 1.95-2.04
9 Cu 0.4328 0.6363 0.3562  3 O 1.93-2.05, 1 F 1.97
10 Cu 0.4328 0.8637 0.3562  3 O 1.93-2.05, 1 F 1.97
11 Cu 0.5672 0.1363 0.6438  3 O 1.93-2.05, 1 F 1.97
12 Cu 0.5672 0.3637 0.6438  3 O 1.93-2.05, 1 F 1.97
13 P 0.0187 0.2500 0.8226  4 O 1.55-1.57
14 P 0.4975 0.5667 0.7044  4 O 1.53-1.59
15 P 0.4975 0.9333 0.7044  4 O 1.53-1.59
16 P 0.5025 0.0667 0.2956  4 O 1.53-1.59
17 P 0.5025 0.4333 0.2956  4 O 1.53-1.59
18 P 0.9813 0.7500 0.1774  4 O 1.55-1.57
19 O 0.0690 0.6621 0.2724  1 P 1.55
20 O 0.0690 0.8379 0.2724  1 P 1.55
21 O 0.0881 0.7500 0.9966  1 P 1.56
22 O 0.1938 0.5767 0.6587  1 P 1.56
23 O 0.1938 0.9233 0.6587  1 P 1.56
24 O 0.3315 0.0793 0.4602  1 P 1.59
25 O 0.3315 0.4207 0.4602  1 P 1.59
26 O 0.3336 0.2500 0.8304  1 P 1.57
27 O 0.4175 0.1400 0.1691  1 P 1.53
28 O 0.4175 0.3600 0.1691  1 P 1.53
29 O 0.4406 0.5284 0.2183  1 P 1.55
30 O 0.4406 0.9716 0.2183  1 P 1.55
31 O 0.5594 0.0284 0.7817  1 P 1.55
32 O 0.5594 0.4716 0.7817  1 P 1.55
33 O 0.5825 0.6400 0.8309  1 P 1.53
34 O 0.5825 0.8600 0.8309  1 P 1.53
35 O 0.6664 0.7500 0.1696  1 P 1.57
36 O 0.6685 0.5793 0.5398  1 P 1.59
37 O 0.6685 0.9207 0.5398  1 P 1.59
38 O 0.8062 0.0767 0.3413  1 P 1.56
39 O 0.8062 0.4233 0.3413  1 P 1.56
40 O 0.9119 0.2500 0.0034  1 P 1.56
41 O 0.9310 0.1621 0.7276  1 P 1.55
42 O 0.9310 0.3379 0.7276  1 P 1.55
43 F 0.4448 0.7500 0.4879  2 Cu 1.97
44 F 0.5552 0.2500 0.5121  2 Cu 1.97

Properties
* theoretical density: 3.6 g cm⁻³
* energy: -6.040 eV/atom
* calculated volume: 584 Å³/cell

Computed, not measured: crystalline CeSe2 at its relaxed geometry at the PBE level of DFT.

Unit cell a=13.6732 b=13.6732 c=11.7889 alpha=90.00 beta=90.00 gamma=120.00
With the nearest neighbours (Å) after each atom.
Element x y z (fractional)
1 Ce 0.0492 0.3421 0.4236  4 Se 2.69-2.73
2 Ce 0.0492 0.7071 0.0764  4 Se 2.69-2.73
3 Ce 0.2929 0.3421 0.0764  4 Se 2.69-2.73
4 Ce 0.2929 0.9508 0.4236  4 Se 2.69-2.73
5 Ce 0.3421 0.0492 0.9236  4 Se 2.69-2.73
6 Ce 0.3421 0.2929 0.5764  4 Se 2.69-2.73
7 Ce 0.6579 0.7071 0.4236  4 Se 2.69-2.73
8 Ce 0.6579 0.9508 0.0764  4 Se 2.69-2.73
9 Ce 0.7071 0.0492 0.5764  4 Se 2.69-2.73
10 Ce 0.7071 0.6579 0.9236  4 Se 2.69-2.73
11 Ce 0.9508 0.2929 0.9236  4 Se 2.69-2.73
12 Ce 0.9508 0.6579 0.5764  4 Se 2.69-2.73
13 Se 0.0000 0.5000 0.0000  2 Ce 2.72
14 Se 0.0000 0.5000 0.5000  2 Ce 2.72
15 Se 0.1506 0.3052 0.6004  2 Ce 2.69-2.72
16 Se 0.1506 0.8454 0.8996  2 Ce 2.69-2.72
17 Se 0.1546 0.3052 0.8996  2 Ce 2.69-2.72
18 Se 0.1546 0.8494 0.6004  2 Ce 2.69-2.72
19 Se 0.2002 0.4005 0.2500  2 Ce 2.73
20 Se 0.2002 0.7998 0.2500  2 Ce 2.73
21 Se 0.3052 0.1506 0.1004  2 Ce 2.69-2.72
22 Se 0.3052 0.1546 0.3996  2 Ce 2.69-2.72
23 Se 0.4005 0.2002 0.7500  2 Ce 2.73
24 Se 0.5000 0.0000 0.0000  2 Ce 2.72
25 Se 0.5000 0.0000 0.5000  2 Ce 2.72
26 Se 0.5000 0.5000 0.0000  2 Ce 2.72
27 Se 0.5000 0.5000 0.5000  2 Ce 2.72
28 Se 0.5995 0.7998 0.2500  2 Ce 2.73
29 Se 0.6948 0.8454 0.6004  2 Ce 2.69-2.72
30 Se 0.6948 0.8494 0.8996  2 Ce 2.69-2.72
31 Se 0.7998 0.2002 0.7500  2 Ce 2.73
32 Se 0.7998 0.5995 0.7500  2 Ce 2.73
33 Se 0.8454 0.1506 0.3996  2 Ce 2.69-2.72
34 Se 0.8454 0.6948 0.1004  2 Ce 2.69-2.72
35 Se 0.8494 0.1546 0.1004  2 Ce 2.69-2.72
36 Se 0.8494 0.6948 0.3996  2 Ce 2.69-2.72

Properties
* theoretical density: 3.1 g cm⁻³
* energy: -5.403 eV/atom
* calculated volume: 1909 Å³/cell

Computed, not measured: crystalline CsYMnSe3 at its relaxed geometry at the PBE level of DFT.

Unit cell a=8.3506 b=8.3506 c=11.0988 alpha=90.00 beta=90.00 gamma=150.47
With the nearest neighbours (Å) after each atom.
Element x y z (fractional)
1 Cs 0.2428 0.7572 0.7500  8 Se 3.71-3.98, 2 Mn 4.14
2 Cs 0.7572 0.2428 0.2500  8 Se 3.71-3.98, 2 Mn 4.14
3 Y 0.5000 0.5000 0.0000  6 Se 2.91
4 Y 0.5000 0.5000 0.5000  6 Se 2.91
5 Mn 0.0372 0.9628 0.2500  4 Se 2.49-2.59
6 Mn 0.9628 0.0372 0.7500  4 Se 2.49-2.59
7 Se 0.1160 0.8840 0.0576  1 Mn 2.49
8 Se 0.1160 0.8840 0.4424  1 Mn 2.49
9 Se 0.4455 0.5545 0.2500  2 Mn 2.59
10 Se 0.5545 0.4455 0.7500  2 Mn 2.59
11 Se 0.8840 0.1160 0.5576  1 Mn 2.49
12 Se 0.8840 0.1160 0.9424  1 Mn 2.49

Properties
* theoretical density: 4.5 g cm⁻³
* energy: -5.840 eV/atom
* calculated volume: 381 Å³/cell

Please write out number 6 again, unchanged.
Computed, not measured: crystalline CsYMnSe3 at its relaxed geometry at the PBE level of DFT.

Unit cell a=8.3506 b=8.3506 c=11.0988 alpha=90.00 beta=90.00 gamma=150.47
With the nearest neighbours (Å) after each atom.
Element x y z (fractional)
1 Cs 0.2428 0.7572 0.7500  8 Se 3.71-3.98, 2 Mn 4.14
2 Cs 0.7572 0.2428 0.2500  8 Se 3.71-3.98, 2 Mn 4.14
3 Y 0.5000 0.5000 0.0000  6 Se 2.91
4 Y 0.5000 0.5000 0.5000  6 Se 2.91
5 Mn 0.0372 0.9628 0.2500  4 Se 2.49-2.59
6 Mn 0.9628 0.0372 0.7500  4 Se 2.49-2.59
7 Se 0.1160 0.8840 0.0576  1 Mn 2.49
8 Se 0.1160 0.8840 0.4424  1 Mn 2.49
9 Se 0.4455 0.5545 0.2500  2 Mn 2.59
10 Se 0.5545 0.4455 0.7500  2 Mn 2.59
11 Se 0.8840 0.1160 0.5576  1 Mn 2.49
12 Se 0.8840 0.1160 0.9424  1 Mn 2.49

Properties
* theoretical density: 4.5 g cm⁻³
* energy: -5.840 eV/atom
* calculated volume: 381 Å³/cell

Repeat the fourth record exactly.
Computed, not measured: crystalline K2ZnCu3P3O12F at its relaxed geometry at the PBE level of DFT.

Unit cell a=4.9734 b=14.6055 c=8.0460 alpha=90.00 beta=90.73 gamma=90.00
With the nearest neighbours (Å) after each atom.
Element x y z (fractional)
1 K 0.0000 0.0000 0.0000  4 O 2.82-3.13
2 K 0.0000 0.5000 0.0000  4 O 2.82-3.13
3 K 0.0480 0.2500 0.3623  2 F 2.75-2.78, 7 O 2.81-2.97
4 K 0.9520 0.7500 0.6377  2 F 2.75-2.78, 7 O 2.81-2.97
5 Zn 0.4731 0.7500 0.9536  4 O 1.95-1.98
6 Zn 0.5269 0.2500 0.0464  4 O 1.95-1.98
7 Cu 0.0000 0.0000 0.5000  4 O 1.95-2.04
8 Cu 0.0000 0.5000 0.5000  4 O 1.95-2.04
9 Cu 0.4328 0.6363 0.3562  3 O 1.93-2.05, 1 F 1.97
10 Cu 0.4328 0.8637 0.3562  3 O 1.93-2.05, 1 F 1.97
11 Cu 0.5672 0.1363 0.6438  3 O 1.93-2.05, 1 F 1.97
12 Cu 0.5672 0.3637 0.6438  3 O 1.93-2.05, 1 F 1.97
13 P 0.0187 0.2500 0.8226  4 O 1.55-1.57
14 P 0.4975 0.5667 0.7044  4 O 1.53-1.59
15 P 0.4975 0.9333 0.7044  4 O 1.53-1.59
16 P 0.5025 0.0667 0.2956  4 O 1.53-1.59
17 P 0.5025 0.4333 0.2956  4 O 1.53-1.59
18 P 0.9813 0.7500 0.1774  4 O 1.55-1.57
19 O 0.0690 0.6621 0.2724  1 P 1.55
20 O 0.0690 0.8379 0.2724  1 P 1.55
21 O 0.0881 0.7500 0.9966  1 P 1.56
22 O 0.1938 0.5767 0.6587  1 P 1.56
23 O 0.1938 0.9233 0.6587  1 P 1.56
24 O 0.3315 0.0793 0.4602  1 P 1.59
25 O 0.3315 0.4207 0.4602  1 P 1.59
26 O 0.3336 0.2500 0.8304  1 P 1.57
27 O 0.4175 0.1400 0.1691  1 P 1.53
28 O 0.4175 0.3600 0.1691  1 P 1.53
29 O 0.4406 0.5284 0.2183  1 P 1.55
30 O 0.4406 0.9716 0.2183  1 P 1.55
31 O 0.5594 0.0284 0.7817  1 P 1.55
32 O 0.5594 0.4716 0.7817  1 P 1.55
33 O 0.5825 0.6400 0.8309  1 P 1.53
34 O 0.5825 0.8600 0.8309  1 P 1.53
35 O 0.6664 0.7500 0.1696  1 P 1.57
36 O 0.6685 0.5793 0.5398  1 P 1.59
37 O 0.6685 0.9207 0.5398  1 P 1.59
38 O 0.8062 0.0767 0.3413  1 P 1.56
39 O 0.8062 0.4233 0.3413  1 P 1.56
40 O 0.9119 0.2500 0.0034  1 P 1.56
41 O 0.9310 0.1621 0.7276  1 P 1.55
42 O 0.9310 0.3379 0.7276  1 P 1.55
43 F 0.4448 0.7500 0.4879  2 Cu 1.97
44 F 0.5552 0.2500 0.5121  2 Cu 1.97

Properties
* theoretical density: 3.6 g cm⁻³
* energy: -6.040 eV/atom
* calculated volume: 584 Å³/cell

Question: What is the theoretical density in the sixth record?
Answer: 4.5 g cm⁻³